1.
VASP calculation (GGA-PBE) on Na3Sr3GaP4 after structural relaxation.

Density ... 3.1 Mg/m³
Size of the total moment ... 0.001 μB/f.u.
Crystal system ... hexagonal
Piezoelectric modulus e_max ... 0.47 C/m²
Energy of formation from the pure elements ... -17.96 kcal/mol of atoms

Cell lengths 9.4303, 9.4303, 7.4074 Å; angles 90.00, 90.00, 120.00 degrees
Fractional positions:
Na 0.1348 0.2696 0.0000
Na 0.1348 0.8652 0.0000
Na 0.2696 0.1348 0.5000
Na 0.7304 0.8652 0.0000
Na 0.8652 0.1348 0.5000
Na 0.8652 0.7304 0.5000
Sr 0.0460 0.5230 0.3296
Sr 0.4770 0.5230 0.3296
Sr 0.4770 0.9540 0.3296
Sr 0.5230 0.0460 0.8296
Sr 0.5230 0.4770 0.8296
Sr 0.9540 0.4770 0.8296
Ga 0.3333 0.6667 0.7054
Ga 0.6667 0.3333 0.2054
P 0.1906 0.3813 0.6102
P 0.1906 0.8094 0.6102
P 0.3333 0.6667 0.0450
P 0.3813 0.1906 0.1102
P 0.6187 0.8094 0.6102
P 0.6667 0.3333 0.5450
P 0.8094 0.1906 0.1102
P 0.8094 0.6187 0.1102

2.
VASP calculation (GGA-PBE) on DyCo2Si2 after structural relaxation.

Density ... 7.6 Mg/m³
Crystal system ... tetragonal
Energy of formation from the pure elements ... -18.50 kcal/mol of atoms

Cell lengths 5.5974, 5.5974, 5.5974 Å; angles 139.46, 139.46, 58.68 degrees
Fractional positions:
Dy 0.0000 0.0000 0.0000
Co 0.2500 0.7500 0.5000
Co 0.7500 0.2500 0.5000
Si 0.3718 0.3718 0.0000
Si 0.6282 0.6282 0.0000